[1]
## Ge3Mo5 (PBE-GGA)

Data for a relaxed Ge3Mo5 crystal.

a b c (Å): 9.909 9.909 5.007
angles (deg): 90.00 90.00 90.00
Space group I4/mcm (No. 140)
Inequivalent atoms, fractional coordinates:
Ge 0.000 0.000 0.250 (multiplicity 4)
Ge 0.168 0.332 0.000 (multiplicity 8)
Mo 0.000 0.500 0.250 (multiplicity 4)
Mo 0.077 0.230 0.500 (multiplicity 16)

Computed properties:
Its calculated density is 9.4 Mg/m³. As for the crystal system: tetragonal. For the formation energy, the calculation gives -0.9 eV per formula unit.

=====

[2]
## Rb2YCuI6 (PBE-GGA)

Data for a relaxed Rb2YCuI6 crystal.

a b c (Å): 11.840 11.840 11.840
angles (deg): 90.00 90.00 90.00
Space group Fm-3m (No. 225)
Inequivalent atoms, fractional coordinates:
Rb 0.250 0.250 0.250 (multiplicity 8)
Y 0.000 0.000 0.000 (multiplicity 4)
Cu 0.000 0.000 0.500 (multiplicity 4)
I 0.000 0.000 0.256 (multiplicity 24)

Computed properties:
Its calculated density is 4.3 Mg/m³. As for the crystal system: cubic. For the formation energy, the calculation gives -13.5 eV per formula unit.

=====

[3]
## Na2Al2Si3H4O12 (PBE-GGA)

Data for a relaxed Na2Al2Si3H4O12 crystal.

a b c (Å): 7.461 9.490 9.995
angles (deg): 117.64 90.28 95.56
Space group P1 (No. 1)
Inequivalent atoms, fractional coordinates:
Na 0.000 0.000 0.000 (multiplicity 1)
Na 0.071 0.627 0.102 (multiplicity 1)
Na 0.201 0.014 0.687 (multiplicity 1)
Na 0.536 0.182 0.045 (multiplicity 1)
Al 0.233 0.342 0.652 (multiplicity 1)
Al 0.489 0.677 0.207 (multiplicity 1)
Al 0.992 0.030 0.393 (multiplicity 1)
Al 0.993 0.623 0.676 (multiplicity 1)
Si 0.286 0.340 0.942 (multiplicity 1)
Si 0.321 0.976 0.200 (multiplicity 1)
Si 0.350 0.787 0.851 (multiplicity 1)
Si 0.638 0.215 0.416 (multiplicity 1)
Si 0.817 0.702 0.390 (multiplicity 1)
Si 0.891 0.353 0.269 (multiplicity 1)
H 0.077 0.351 0.320 (multiplicity 1)
H 0.102 0.463 0.590 (multiplicity 1)
H 0.361 0.642 0.867 (multiplicity 1)
H 0.506 0.715 0.650 (multiplicity 1)
H 0.705 0.849 0.193 (multiplicity 1)
H 0.721 0.857 0.723 (multiplicity 1)
H 0.801 0.716 0.008 (multiplicity 1)
H 0.994 0.254 0.006 (multiplicity 1)
O 0.111 0.011 0.230 (multiplicity 1)
O 0.112 0.224 0.961 (multiplicity 1)
O 0.130 0.152 0.552 (multiplicity 1)
O 0.166 0.781 0.758 (multiplicity 1)
O 0.204 0.423 0.845 (multiplicity 1)
O 0.347 0.825 0.229 (multiplicity 1)
O 0.356 0.493 0.109 (multiplicity 1)
O 0.356 0.941 0.021 (multiplicity 1)
O 0.422 0.212 0.857 (multiplicity 1)
O 0.430 0.404 0.583 (multiplicity 1)
O 0.469 0.135 0.287 (multiplicity 1)
O 0.518 0.810 0.749 (multiplicity 1)
O 0.554 0.288 0.587 (multiplicity 1)
O 0.602 0.701 0.376 (multiplicity 1)
O 0.676 0.734 0.124 (multiplicity 1)
O 0.753 0.366 0.405 (multiplicity 1)
O 0.772 0.081 0.386 (multiplicity 1)
O 0.826 0.212 0.106 (multiplicity 1)
O 0.840 0.593 0.794 (multiplicity 1)
O 0.849 0.871 0.691 (multiplicity 1)
O 0.864 0.706 0.568 (multiplicity 1)
O 0.894 0.533 0.276 (multiplicity 1)
O 0.913 0.719 0.947 (multiplicity 1)
O 0.955 0.840 0.388 (multiplicity 1)

Computed properties:
Its calculated density is 2.0 Mg/m³. As for the crystal system: triclinic. For the formation energy, the calculation gives -51.2 eV per formula unit.

=====

[4]
## Cs2InGaBr6 (PBE-GGA)

Data for a relaxed Cs2InGaBr6 crystal.

a b c (Å): 11.448 11.448 11.448
angles (deg): 90.00 90.00 90.00
Space group Fm-3m (No. 225)
Inequivalent atoms, fractional coordinates:
Cs 0.250 0.250 0.250 (multiplicity 8)
In 0.000 0.000 0.000 (multiplicity 4)
Ga 0.000 0.000 0.500 (multiplicity 4)
Br 0.000 0.000 0.239 (multiplicity 24)

Computed properties:
Its calculated density is 4.1 Mg/m³. As for the crystal system: cubic. For the formation energy, the calculation gives -15.3 eV per formula unit.

=====

[5]
## RbAu5 (PBE-GGA)

Data for a relaxed RbAu5 crystal.

a b c (Å): 5.8965 5.8965 4.5583
angles (deg): 90.00 90.00 120.00
Space group P6/mmm (No. 191)
Inequivalent atoms, fractional coordinates:
Rb 0.0000 0.0000 0.0000 (multiplicity 1)
Au 0.0000 0.5000 0.5000 (multiplicity 3)
Au 0.3333 0.6667 0.0000 (multiplicity 2)

Computed properties:
Its calculated density is 12.9 Mg/m³. As for the crystal system: hexagonal. For the formation energy, the calculation gives -1.1 eV per formula unit.

=====

[6]
## CdPHO3 (PBE-GGA)

Data for a relaxed CdPHO3 crystal.

a b c (Å): 13.7396 13.7396 8.5745
angles (deg): 90.00 90.00 120.00
Space group R-3 (No. 148, hexagonal axes)
Inequivalent atoms, fractional coordinates:
Cd 0.0489 0.2714 0.0936 (multiplicity 18)
P 0.0218 0.1880 0.7148 (multiplicity 18)
H 0.0210 0.9099 0.3776 (multiplicity 18)
O 0.0131 0.7333 0.3631 (multiplicity 18)
O 0.0320 0.8516 0.1220 (multiplicity 18)
O 0.0897 0.8492 0.7210 (multiplicity 18)

Computed properties:
Its calculated density is 4.1 Mg/m³. As for the crystal system: trigonal. For the formation energy, the calculation gives -11.1 eV per formula unit.

=====

[7]
## MnP4 (PBE-GGA)

Data for a relaxed MnP4 crystal.

a b c (Å): 5.111 5.853 16.351
angles (deg): 89.26 84.84 64.40
Space group P-1 (No. 2)
Inequivalent atoms, fractional coordinates:
Mn 0.001 0.318 0.406 (multiplicity 2)
Mn 0.009 0.950 0.741 (multiplicity 2)
Mn 0.371 0.620 0.925 (multiplicity 2)
P 0.066 0.071 0.116 (multiplicity 2)
P 0.117 0.635 0.451 (multiplicity 2)
P 0.129 0.995 0.610 (multiplicity 2)
P 0.134 0.359 0.272 (multiplicity 2)
P 0.156 0.252 0.770 (multiplicity 2)
P 0.192 0.691 0.056 (multiplicity 2)
P 0.217 0.327 0.900 (multiplicity 2)
P 0.426 0.741 0.274 (multiplicity 2)
P 0.443 0.027 0.434 (multiplicity 2)
P 0.444 0.648 0.781 (multiplicity 2)
P 0.453 0.379 0.600 (multiplicity 2)
P 0.489 0.072 0.065 (multiplicity 2)

Computed properties:
Its calculated density is 4.1 Mg/m³. As for the crystal system: triclinic. For the formation energy, the calculation gives -1.8 eV per formula unit.

=====

[8]
## Hf5Sn4 (PBE-GGA)

Data for a relaxed Hf5Sn4 crystal.

a b c (Å): 8.7743 8.7743 5.9121
angles (deg): 90.00 90.00 120.00
Space group P6_3/mcm (No. 193)
Inequivalent atoms, fractional coordinates:
Hf 0.0000 0.2823 0.2500 (multiplicity 6)
Hf 0.3333 0.6667 0.0000 (multiplicity 4)
Sn 0.0000 0.0000 0.0000 (multiplicity 2)
Sn 0.0000 0.3866 0.7500 (multiplicity 6)

Computed properties:
Its calculated density is 11.5 Mg/m³. As for the crystal system: hexagonal. For the formation energy, the calculation gives -3.6 eV per formula unit.